# 1
An optimized crystal structure of AlV6Sn, computed with GGA-PBE.

Cell lengths 4.895, 4.895, 4.895 Å; angles 90.00, 90.00, 90.00 degrees
Fractional coordinates of all 8 atoms:
Al 0.000 0.000 0.000
V 0.000 0.239 0.500
V 0.000 0.761 0.500
V 0.239 0.500 0.000
V 0.500 0.000 0.239
V 0.500 0.000 0.761
V 0.761 0.500 0.000
Sn 0.500 0.500 0.500

Properties
- symmetry = Pm-3
- E_tot (eV/atom) = -7.8730


# 2
An optimized crystal structure of SrAl, computed with GGA-PBE.

Cell lengths 12.771, 12.771, 12.771 Å; angles 90.00, 90.00, 90.00 degrees
Fractional coordinates of all 64 atoms:
Sr 0.001 0.303 0.438
Sr 0.018 0.298 0.936
Sr 0.062 0.999 0.803
Sr 0.064 0.518 0.202
Sr 0.192 0.808 0.308
Sr 0.197 0.562 0.501
Sr 0.202 0.064 0.518
Sr 0.205 0.705 0.795
Sr 0.295 0.295 0.295
Sr 0.298 0.936 0.018
Sr 0.303 0.438 0.001
Sr 0.308 0.192 0.808
Sr 0.436 0.482 0.702
Sr 0.438 0.001 0.303
Sr 0.482 0.702 0.436
Sr 0.499 0.697 0.938
Sr 0.501 0.197 0.562
Sr 0.518 0.202 0.064
Sr 0.562 0.501 0.197
Sr 0.564 0.982 0.798
Sr 0.692 0.692 0.692
Sr 0.697 0.938 0.499
Sr 0.702 0.436 0.482
Sr 0.705 0.795 0.205
Sr 0.795 0.205 0.705
Sr 0.798 0.564 0.982
Sr 0.803 0.062 0.999
Sr 0.808 0.308 0.192
Sr 0.936 0.018 0.298
Sr 0.938 0.499 0.697
Sr 0.982 0.798 0.564
Sr 0.999 0.803 0.062
Al 0.064 0.064 0.064
Al 0.064 0.564 0.936
Al 0.067 0.236 0.187
Al 0.077 0.241 0.678
Al 0.178 0.423 0.759
Al 0.187 0.067 0.236
Al 0.236 0.187 0.067
Al 0.241 0.678 0.077
Al 0.259 0.322 0.577
Al 0.264 0.813 0.567
Al 0.313 0.933 0.736
Al 0.322 0.577 0.259
Al 0.423 0.759 0.178
Al 0.433 0.764 0.687
Al 0.436 0.436 0.436
Al 0.436 0.936 0.564
Al 0.564 0.436 0.936
Al 0.564 0.936 0.064
Al 0.567 0.264 0.813
Al 0.577 0.259 0.322
Al 0.678 0.077 0.241
Al 0.687 0.433 0.764
Al 0.736 0.313 0.933
Al 0.741 0.822 0.923
Al 0.759 0.178 0.423
Al 0.764 0.687 0.433
Al 0.813 0.567 0.264
Al 0.822 0.923 0.741
Al 0.923 0.741 0.822
Al 0.933 0.736 0.313
Al 0.936 0.064 0.564
Al 0.936 0.564 0.436

Properties
- symmetry = P2_13
- E_tot (eV/atom) = -2.8869


# 3
An optimized crystal structure of SrAl2, computed with GGA-PBE.

Cell lengths 6.093, 6.093, 6.093 Å; angles 133.58, 99.13, 98.74 degrees
Fractional coordinates of all 6 atoms:
Sr 0.300 0.050 0.250
Sr 0.700 0.950 0.750
Al 0.093 0.661 0.432
Al 0.271 0.339 0.932
Al 0.729 0.661 0.068
Al 0.907 0.339 0.568

Properties
- symmetry = Imma
- E_tot (eV/atom) = -3.3204


# 4
An optimized crystal structure of SrAl4, computed with GGA-PBE.

Cell lengths 6.449, 6.449, 6.449 Å; angles 139.50, 139.50, 58.61 degrees
Fractional coordinates of all 5 atoms:
Sr 0.000 0.000 0.000
Al 0.250 0.750 0.500
Al 0.384 0.384 0.000
Al 0.616 0.616 0.000
Al 0.750 0.250 0.500

Properties
- symmetry = I4/mmm
- E_tot (eV/atom) = -3.5667


- What is the formula in the second record?
  SrAl


- What is the E_tot in the fourth record?
  -3.5667 eV/atom


- Which value of E_tot does entry 4 give?
  -3.5667 eV/atom